[1]
Below is CaHoHg2 after structural relaxation, with properties calculated at the PBE level.

Values from the calculation:
Calculated density in Mg/m³: 9.7

Cell: 5.2834 5.2834 5.2834 Å, 60.00 60.00 60.00°
Closest atoms and distances in Å follow each position.
Fractional coordinates of all 4 atoms:
Ca 0.0000 0.0000 0.0000  8 Hg 3.24
Ho 0.5000 0.5000 0.5000  8 Hg 3.24
Hg 0.2500 0.2500 0.2500  4 Ho 3.24, 4 Ca 3.24
Hg 0.7500 0.7500 0.7500  4 Ho 3.24, 4 Ca 3.24

***

[2]
Below is Tl3AsS4 after structural relaxation, with properties calculated at the PBE level.

Values from the calculation:
Calculated density in Mg/m³: 5.6

Cell: 9.2789 11.1350 9.3455 Å, 90.00 90.00 90.00°
Closest atoms and distances in Å follow each position.
Fractional coordinates of all 32 atoms:
Tl 0.0735 0.0558 0.1946  5 S 3.11-3.36
Tl 0.0735 0.4442 0.1946  5 S 3.11-3.36
Tl 0.0975 0.7500 0.3944  4 S 3.05-3.33
Tl 0.4025 0.2500 0.8944  4 S 3.05-3.33
Tl 0.4265 0.5558 0.6946  5 S 3.11-3.36
Tl 0.4265 0.9442 0.6946  5 S 3.11-3.36
Tl 0.5735 0.0558 0.3054  5 S 3.11-3.36
Tl 0.5735 0.4442 0.3054  5 S 3.11-3.36
Tl 0.5975 0.7500 0.1056  4 S 3.05-3.33
Tl 0.9025 0.2500 0.6056  4 S 3.05-3.33
Tl 0.9265 0.5558 0.8054  5 S 3.11-3.36
Tl 0.9265 0.9442 0.8054  5 S 3.11-3.36
As 0.2198 0.7500 0.9740  4 S 2.19-2.22
As 0.2802 0.2500 0.4740  4 S 2.19-2.22
As 0.7198 0.7500 0.5260  4 S 2.19-2.22
As 0.7802 0.2500 0.0260  4 S 2.19-2.22
S 0.0043 0.7500 0.0696  1 As 2.19
S 0.1577 0.0889 0.5331  1 As 2.19
S 0.1577 0.4111 0.5331  1 As 2.19
S 0.1894 0.7500 0.7385  1 As 2.22
S 0.3106 0.2500 0.2385  1 As 2.22
S 0.3423 0.5889 0.0331  1 As 2.19
S 0.3423 0.9111 0.0331  1 As 2.19
S 0.4957 0.2500 0.5696  1 As 2.19
S 0.5043 0.7500 0.4304  1 As 2.19
S 0.6577 0.0889 0.9669  1 As 2.19
S 0.6577 0.4111 0.9669  1 As 2.19
S 0.6894 0.7500 0.7615  1 As 2.22
S 0.8106 0.2500 0.2615  1 As 2.22
S 0.8423 0.5889 0.4669  1 As 2.19
S 0.8423 0.9111 0.4669  1 As 2.19
S 0.9957 0.2500 0.9304  1 As 2.19

***

[3]
Below is Mg2Si after structural relaxation, with properties calculated at the PBE level.

Values from the calculation:
Calculated density in Mg/m³: 2.0

Cell: 5.6309 7.0410 7.4019 Å, 72.50 68.95 70.52°
Closest atoms and distances in Å follow each position.
Fractional coordinates of all 12 atoms:
Mg 0.0000 0.0000 0.0000  2 Si 2.73-2.77
Mg 0.0031 0.3444 0.2063  3 Si 2.72-3.01, 3 Mg 2.96-3.03
Mg 0.0134 0.9369 0.5689  4 Si 2.75-3.05, 1 Mg 3.06
Mg 0.4949 0.1834 0.8048  4 Si 2.77-3.03, 3 Mg 2.99-3.06
Mg 0.5060 0.5959 0.4246  4 Si 2.73-3.01, 1 Mg 2.96
Mg 0.5121 0.1168 0.4191  2 Si 2.71-2.73, 2 Mg 2.91-2.99
Mg 0.5434 0.4259 0.0535  3 Si 2.65-2.93, 1 Mg 2.91
Mg 0.9809 0.4272 0.6251  2 Si 2.91-2.94, 4 Mg 3.23-3.24
Si 0.2065 0.5910 0.8293  2 Si 2.45-2.50, 1 Mg 2.71
Si 0.3548 0.9705 0.1932  1 Si 2.49, 6 Mg 2.71-2.77
Si 0.5443 0.7813 0.7214  2 Si 2.45-2.47, 1 Mg 2.73
Si 0.7325 0.7455 0.9881  3 Si 2.47-2.50, 2 Mg 2.65-2.73

***

[4]
Below is CsBi4Se7 after structural relaxation, with properties calculated at the PBE level.

Values from the calculation:
Calculated density in Mg/m³: 5.8

Cell: 11.1052 11.1052 19.8123 Å, 115.31 115.31 23.14°
Closest atoms and distances in Å follow each position.
Fractional coordinates of all 24 atoms:
Cs 0.0392 0.0392 0.2937  6 Se 3.64-3.92
Cs 0.9608 0.9608 0.7063  6 Se 3.64-3.92
Bi 0.1349 0.1349 0.0712  6 Se 2.92-3.01
Bi 0.2123 0.2123 0.7461  5 Se 2.77-3.02
Bi 0.2646 0.2646 0.4205  5 Se 2.75-3.07
Bi 0.3388 0.3388 0.0996  3 Se 2.80-2.85
Bi 0.6612 0.6612 0.9004  3 Se 2.80-2.85
Bi 0.7354 0.7354 0.5795  5 Se 2.75-3.07
Bi 0.7877 0.7877 0.2539  5 Se 2.77-3.02
Bi 0.8651 0.8651 0.9288  6 Se 2.92-3.01
Se 0.0810 0.0810 0.9039  3 Bi 2.85-2.99
Se 0.1530 0.1530 0.5905  3 Bi 2.77-2.93
Se 0.1888 0.1888 0.2342  3 Bi 2.92-3.00
Se 0.2722 0.2722 0.9231  6 Bi 2.98-3.17
Se 0.3307 0.3307 0.5749  3 Bi 2.75-3.07
Se 0.3821 0.3821 0.2548  3 Bi 2.80-3.02
Se 0.4608 0.4608 0.9356  1 Se 2.37
Se 0.5392 0.5392 0.0644  1 Se 2.37
Se 0.6179 0.6179 0.7452  3 Bi 2.80-3.02
Se 0.6693 0.6693 0.4251  3 Bi 2.75-3.07
Se 0.7278 0.7278 0.0769  6 Bi 2.98-3.17
Se 0.8112 0.8112 0.7658  3 Bi 2.92-3.00
Se 0.8470 0.8470 0.4095  3 Bi 2.77-2.93
Se 0.9190 0.9190 0.0961  3 Bi 2.85-2.99

***

[5]
Below is SrAl2O4 after structural relaxation, with properties calculated at the PBE level.

Values from the calculation:
Calculated density in Mg/m³: 3.4

Cell: 5.2106 5.2106 8.6705 Å, 93.36 93.36 59.78°
Closest atoms and distances in Å follow each position.
Fractional coordinates of all 14 atoms:
Sr 0.0016 0.0016 0.2486  4 O 2.50-2.79
Sr 0.9984 0.9984 0.7514  4 O 2.50-2.79
Al 0.3034 0.3585 0.0545  4 O 1.76-1.78
Al 0.3141 0.3515 0.4454  4 O 1.76-1.78
Al 0.6415 0.6966 0.9455  4 O 1.76-1.78
Al 0.6485 0.6859 0.5546  4 O 1.76-1.78
O 0.0112 0.6340 0.5460  2 Al 1.76-1.77
O 0.2082 0.4429 0.2503  2 Al 1.76
O 0.3416 0.6584 0.0000  2 Al 1.76
O 0.3660 0.9888 0.4540  2 Al 1.76-1.77
O 0.5571 0.7918 0.7497  2 Al 1.76
O 0.6354 0.0096 0.0418  2 Al 1.77-1.78
O 0.6509 0.3491 0.5000  2 Al 1.78
O 0.9904 0.3646 0.9582  2 Al 1.77-1.78

***

[6]
Below is NdAlAu after structural relaxation, with properties calculated at the PBE level.

Values from the calculation:
Calculated density in Mg/m³: 9.0

Cell: 7.5584 4.6220 7.7502 Å, 90.00 90.00 90.00°
Closest atoms and distances in Å follow each position.
Fractional coordinates of all 12 atoms:
Nd 0.0086 0.2500 0.1931  6 Au 3.11-3.48, 6 Al 3.20-3.47
Nd 0.4914 0.7500 0.6931  6 Au 3.11-3.48, 6 Al 3.20-3.47
Nd 0.5086 0.2500 0.3069  6 Au 3.11-3.48, 6 Al 3.20-3.47
Nd 0.9914 0.7500 0.8069  6 Au 3.11-3.48, 6 Al 3.20-3.47
Al 0.1697 0.2500 0.5809  4 Au 2.68-2.81
Al 0.3303 0.7500 0.0809  4 Au 2.68-2.81
Al 0.6697 0.2500 0.9191  4 Au 2.68-2.81
Al 0.8303 0.7500 0.4191  4 Au 2.68-2.81
Au 0.2022 0.7500 0.4078  4 Al 2.68-2.81
Au 0.2978 0.2500 0.9078  4 Al 2.68-2.81
Au 0.7022 0.7500 0.0922  4 Al 2.68-2.81
Au 0.7978 0.2500 0.5922  4 Al 2.68-2.81

***

[7]
Below is BiB after structural relaxation, with properties calculated at the PBE level.

Values from the calculation:
Calculated density in Mg/m³: 8.6
Energy above the lowest structure with this stoichiometry in kJ/mol of atoms: 0.0

Cell: 3.9191 3.9191 3.9191 Å, 60.00 60.00 60.00°
Closest atoms and distances in Å follow each position.
Fractional coordinates of all 2 atoms:
Bi 0.0000 0.0000 0.0000  4 B 2.40
B 0.2500 0.2500 0.2500  4 Bi 2.40

***

[8]
Below is Ge2Sb2O5 after structural relaxation, with properties calculated at the PBE level.

Values from the calculation:
Calculated density in Mg/m³: 6.4

Cell: 3.8585 3.8585 8.2320 Å, 90.00 90.00 90.00°
Closest atoms and distances in Å follow each position.
Fractional coordinates of all 9 atoms:
Ge 0.0000 0.0000 0.2358  5 O 1.94
Ge 0.0000 0.0000 0.7642  5 O 1.94
Sb 0.5000 0.5000 0.0000  12 O 2.63-2.73
Sb 0.5000 0.5000 0.5000  8 O 3.02
O 0.0000 0.0000 0.0000  2 Ge 1.94
O 0.0000 0.5000 0.2174  2 Ge 1.94
O 0.0000 0.5000 0.7826  2 Ge 1.94
O 0.5000 0.0000 0.2174  2 Ge 1.94
O 0.5000 0.0000 0.7826  2 Ge 1.94

***

no.,energy relative to the elements (eV per atom)
1,-0.526
2,-0.547
3,0.114
4,-0.767
5,-3.440
6,-0.739
7,0.821
8,-1.045